Li4Mn2Nb3V3O16 | PBE with a Hubbard U | optimized geometry

Values from the calculation:
- total magnetic moment (μB per formula unit) = 15.42
- ΔH_f (0 K) (kcal/mol of atoms) = -59.9

Cell: 6.1057 6.1057 10.0710 Å, 90.06 90.06 60.03°
With the nearest neighbours (Å) after each atom.
Fractional positions:
Li1 0.0000 0.0000 0.0000  3 O 1.80-1.98
Li2 0.0044 0.0044 0.5120  4 O 1.86-1.96
Li3 0.3432 0.3432 0.4098  4 O 1.99-2.07
Li4 0.6742 0.6742 0.8923  4 O 2.00-2.18
Mn1 0.3504 0.3504 0.9944  6 O 2.19-2.28
Mn2 0.6820 0.6820 0.5207  3 O 2.09-2.12
Nb1 0.1794 0.1794 0.7264  6 O 2.00-2.08
Nb2 0.3484 0.8437 0.2241  6 O 1.97-2.06
Nb3 0.8437 0.3484 0.2241  6 O 1.97-2.06
V1 0.1832 0.6681 0.7210  6 O 2.00-2.11
V2 0.6681 0.1832 0.7210  6 O 2.00-2.11
V3 0.8409 0.8409 0.2223  6 O 2.02-2.13
O1 0.0118 0.0118 0.3278  1 Li 1.86, 2 Nb 2.06
O2 0.0126 0.0126 0.8222  1 Li 1.80, 1 Nb 2.01
O3 0.0386 0.4905 0.8391  1 Nb 2.00, 1 Li 2.00, 1 V 2.08
O4 0.1655 0.1655 0.1102  2 Nb 2.06, 1 Li 2.07, 1 Mn 2.28
O5 0.1661 0.6996 0.1171  1 Li 1.98, 1 V 2.02, 1 Nb 2.04
O6 0.3216 0.8528 0.6124  1 Li 1.96, 1 V 2.03, 1 Nb 2.08, 1 Mn 2.12
O7 0.3333 0.3333 0.6074  1 Li 1.99, 1 Nb 2.02, 2 V 2.11
O8 0.4905 0.0386 0.8391  1 Nb 2.00, 1 Li 2.00, 1 V 2.08
O9 0.4913 0.4913 0.8357  2 V 2.00, 1 Li 2.02, 1 Mn 2.19
O10 0.5192 0.9789 0.3352  1 Nb 1.97, 1 V 2.05, 1 Li 2.07
O11 0.5235 0.5235 0.3359  2 Nb 2.04, 1 Li 2.05
O12 0.6704 0.6704 0.1091  2 Nb 2.06, 1 V 2.13, 1 Li 2.18
O13 0.6996 0.1661 0.1171  1 Li 1.98, 1 V 2.02, 1 Nb 2.04
O14 0.8528 0.3216 0.6124  1 Li 1.96, 1 V 2.03, 1 Nb 2.08, 1 Mn 2.12
O15 0.8555 0.8555 0.6211  1 Li 1.92, 2 V 2.01, 1 Mn 2.09
O16 0.9789 0.5192 0.3352  1 Nb 1.97, 1 V 2.05, 1 Li 2.07